Record 1
CsMgBr3 | the Materials Project | meta-GGA r2SCAN | relaxed; ΔE_f = -1.898 eV/atom
1.0
7.648 0.000 0.000
-3.824 6.624 0.000
0.000 0.000 6.510
Br Mg Cs
6 2 2
Direct
0.160 0.320 0.250
0.840 0.680 0.750
0.680 0.840 0.250
0.840 0.160 0.750
0.160 0.840 0.250
0.320 0.160 0.750
0.000 0.000 0.500
0.000 0.000 0.000
0.667 0.333 0.250
0.333 0.667 0.750

***

Record 2
Cs3MnBr5 | the Materials Project | meta-GGA r2SCAN | relaxed; ΔE_f = -1.820 eV/atom
1.0
8.596 0.000 -4.510
-2.366 8.264 -4.510
-0.058 -0.077 10.336
Br Cs Mn
10 6 2
Direct
0.799 0.009 0.308
0.701 0.201 0.692
0.509 0.299 0.308
0.201 0.991 0.692
0.500 0.500 0.000
0.009 0.509 0.308
0.491 0.701 0.692
0.299 0.799 0.308
0.991 0.491 0.692
0.000 0.000 0.000
0.750 0.750 0.500
0.660 0.160 0.000
0.160 0.340 0.000
0.840 0.660 0.000
0.250 0.250 0.500
0.340 0.840 0.000
0.250 0.750 0.500
0.750 0.250 0.500

***

Record 3
CsPr9NbBr15N6 | the Materials Project | meta-GGA r2SCAN | relaxed; ΔE_f = -2.052 eV/atom
1.0
3.643 4.227 10.912
-8.249 6.261 -6.554
-10.278 -7.078 6.173
N Pr Nb Br Cs
12 18 2 30 2
Direct
0.814 0.372 0.150
0.628 0.442 0.350
0.186 0.628 0.850
0.814 0.372 0.350
0.442 0.814 0.850
0.186 0.628 0.650
0.372 0.558 0.850
0.372 0.558 0.650
0.558 0.186 0.350
0.558 0.186 0.150
0.442 0.814 0.650
0.628 0.442 0.150
0.819 0.541 0.066
0.541 0.722 0.934
0.418 0.438 0.750
0.020 0.582 0.750
0.819 0.541 0.434
0.980 0.418 0.250
0.181 0.459 0.934
0.562 0.980 0.750
0.722 0.181 0.066
0.278 0.819 0.566
0.181 0.459 0.566
0.459 0.278 0.434
0.582 0.562 0.250
0.722 0.181 0.434
0.541 0.722 0.566
0.459 0.278 0.066
0.278 0.819 0.934
0.438 0.020 0.250
0.667 0.333 0.250
0.333 0.667 0.750
0.865 0.386 0.910
0.015 0.254 0.404
0.521 0.135 0.590
0.479 0.865 0.090
0.614 0.479 0.590
0.614 0.479 0.910
0.746 0.761 0.096
0.386 0.521 0.090
0.731 0.054 0.250
0.054 0.322 0.750
0.946 0.678 0.250
0.269 0.946 0.750
0.135 0.614 0.090
0.761 0.015 0.904
0.985 0.746 0.596
0.015 0.254 0.096
0.322 0.269 0.250
0.254 0.239 0.904
0.135 0.614 0.410
0.479 0.865 0.410
0.239 0.985 0.404
0.865 0.386 0.590
0.985 0.746 0.904
0.521 0.135 0.910
0.386 0.521 0.410
0.761 0.015 0.596
0.746 0.761 0.404
0.254 0.239 0.596
0.239 0.985 0.096
0.678 0.731 0.750
0.000 0.000 0.750
0.000 0.000 0.250

***

Record 4
CsNb4Br11 | the Materials Project | meta-GGA r2SCAN | relaxed; ΔE_f = -1.213 eV/atom
1.0
7.367 0.000 0.000
0.000 7.281 0.000
0.000 0.000 17.067
Br Nb Cs
22 8 2
Direct
0.000 0.215 0.088
0.000 0.785 0.588
0.253 0.314 0.577
0.253 0.686 0.077
0.747 0.314 0.923
0.747 0.686 0.423
0.000 0.405 0.750
0.500 0.868 0.585
0.500 0.132 0.085
0.253 0.314 0.923
0.000 0.785 0.912
0.500 0.132 0.415
0.500 0.868 0.915
0.764 0.989 0.750
0.000 0.215 0.412
0.764 0.011 0.250
0.000 0.595 0.250
0.253 0.686 0.423
0.236 0.989 0.750
0.236 0.011 0.250
0.747 0.686 0.077
0.747 0.314 0.577
0.000 0.119 0.862
0.206 0.000 0.000
0.000 0.881 0.362
0.000 0.881 0.138
0.000 0.119 0.638
0.206 0.000 0.500
0.794 0.000 0.500
0.794 0.000 0.000
0.500 0.490 0.250
0.500 0.510 0.750

***

Record 5
CsPrNb6Br18 | the Materials Project | meta-GGA r2SCAN | relaxed; ΔE_f = -1.338 eV/atom
1.0
4.963 -8.597 0.000
4.963 8.597 0.000
0.000 0.000 18.512
Br Nb Pr Cs
36 12 2 2
Direct
0.145 0.729 0.500
0.368 0.926 0.341
0.855 0.271 0.500
0.855 0.584 0.000
0.729 0.145 0.000
0.812 0.771 0.160
0.926 0.558 0.659
0.812 0.042 0.340
0.729 0.584 0.500
0.416 0.145 0.500
0.188 0.958 0.660
0.584 0.855 0.500
0.958 0.188 0.160
0.926 0.368 0.841
0.042 0.812 0.840
0.188 0.229 0.840
0.584 0.729 0.000
0.074 0.442 0.341
0.442 0.074 0.841
0.271 0.416 0.500
0.771 0.812 0.660
0.229 0.188 0.340
0.416 0.271 0.000
0.368 0.442 0.159
0.042 0.229 0.660
0.271 0.855 0.000
0.442 0.368 0.659
0.771 0.958 0.840
0.958 0.771 0.340
0.558 0.632 0.341
0.632 0.074 0.659
0.558 0.926 0.159
0.145 0.416 0.000
0.632 0.558 0.841
0.229 0.042 0.160
0.074 0.632 0.159
0.152 0.186 0.065
0.152 0.965 0.435
0.848 0.035 0.565
0.965 0.152 0.935
0.814 0.965 0.065
0.965 0.814 0.565
0.848 0.814 0.935
0.186 0.152 0.565
0.035 0.848 0.065
0.035 0.186 0.435
0.814 0.848 0.435
0.186 0.035 0.935
0.333 0.667 0.250
0.667 0.333 0.750
0.333 0.667 0.750
0.667 0.333 0.250

***

Record 6
CsNb3SBr7 | the Materials Project | meta-GGA r2SCAN | relaxed; ΔE_f = -1.320 eV/atom
1.0
19.210 0.000 0.000
0.000 7.144 -0.016
0.000 1.362 10.095
Br Nb Cs S
28 12 4 4
Direct
0.750 0.624 0.363
0.598 0.356 0.464
0.423 0.949 0.237
0.904 0.242 0.062
0.750 0.512 0.960
0.077 0.951 0.239
0.083 0.639 0.559
0.098 0.144 0.536
0.577 0.549 0.761
0.417 0.139 0.559
0.096 0.758 0.938
0.577 0.051 0.763
0.917 0.361 0.441
0.250 0.376 0.637
0.750 0.124 0.363
0.596 0.742 0.062
0.250 0.988 0.040
0.902 0.856 0.464
0.250 0.488 0.040
0.750 0.012 0.960
0.404 0.258 0.938
0.250 0.876 0.637
0.583 0.861 0.441
0.077 0.449 0.237
0.423 0.451 0.239
0.923 0.551 0.763
0.402 0.644 0.536
0.923 0.049 0.761
0.171 0.464 0.423
0.329 0.365 0.423
0.671 0.635 0.577
0.671 0.036 0.577
0.829 0.536 0.577
0.169 0.713 0.174
0.329 0.964 0.423
0.331 0.213 0.174
0.669 0.787 0.826
0.829 0.135 0.577
0.171 0.865 0.423
0.831 0.287 0.826
0.906 0.733 0.117
0.406 0.767 0.883
0.094 0.267 0.883
0.594 0.233 0.117
0.237 0.183 0.328
0.737 0.317 0.672
0.763 0.817 0.672
0.263 0.683 0.328